Si3N4 after structural relaxation, computed with PBE-GGA.

Values from the calculation:
DFT formation energy = -0.94 eV/atom
crystal system = triclinic
energy above the lowest structure with this stoichiometry = 0.364 eV per atom
energy with MP2020 corrections = -842.52 eV for the cell shown

a = 10.104 Å, b = 10.561 Å, c = 10.981 Å
α = 89.50°, β = 85.72°, γ = 88.00°
Space group P1 (No. 1)
Symmetry-distinct sites (fractional):
1 Si 0.000 0.000 0.000 (multiplicity 1)
2 Si 0.002 0.243 0.526 (multiplicity 1)
3 Si 0.005 0.734 0.425 (multiplicity 1)
4 Si 0.019 0.688 0.693 (multiplicity 1)
5 Si 0.041 0.948 0.612 (multiplicity 1)
6 Si 0.051 0.431 0.058 (multiplicity 1)
7 Si 0.126 0.487 0.523 (multiplicity 1)
8 Si 0.134 0.388 0.307 (multiplicity 1)
9 Si 0.154 0.756 0.935 (multiplicity 1)
10 Si 0.166 0.145 0.156 (multiplicity 1)
11 Si 0.183 0.886 0.335 (multiplicity 1)
12 Si 0.197 0.633 0.190 (multiplicity 1)
13 Si 0.209 0.286 0.921 (multiplicity 1)
14 Si 0.211 0.521 0.789 (multiplicity 1)
15 Si 0.262 0.167 0.681 (multiplicity 1)
16 Si 0.279 0.242 0.415 (multiplicity 1)
17 Si 0.301 0.885 0.728 (multiplicity 1)
18 Si 0.313 0.013 0.917 (multiplicity 1)
19 Si 0.386 0.519 0.369 (multiplicity 1)
20 Si 0.392 0.750 0.995 (multiplicity 1)
21 Si 0.449 0.750 0.256 (multiplicity 1)
22 Si 0.452 0.736 0.528 (multiplicity 1)
23 Si 0.459 0.356 0.760 (multiplicity 1)
24 Si 0.483 0.992 0.383 (multiplicity 1)
25 Si 0.483 0.996 0.123 (multiplicity 1)
26 Si 0.494 0.642 0.769 (multiplicity 1)
27 Si 0.500 0.198 0.991 (multiplicity 1)
28 Si 0.519 0.172 0.542 (multiplicity 1)
29 Si 0.531 0.255 0.264 (multiplicity 1)
30 Si 0.594 0.896 0.633 (multiplicity 1)
31 Si 0.642 0.507 0.334 (multiplicity 1)
32 Si 0.715 0.647 0.543 (multiplicity 1)
33 Si 0.719 0.363 0.588 (multiplicity 1)
34 Si 0.729 0.347 0.871 (multiplicity 1)
35 Si 0.757 0.626 0.834 (multiplicity 1)
36 Si 0.763 0.695 0.277 (multiplicity 1)
37 Si 0.765 0.961 0.209 (multiplicity 1)
38 Si 0.773 0.167 0.380 (multiplicity 1)
39 Si 0.790 0.221 0.100 (multiplicity 1)
40 Si 0.808 0.497 0.074 (multiplicity 1)
41 Si 0.824 0.900 0.798 (multiplicity 1)
42 Si 0.890 0.744 0.028 (multiplicity 1)
43 Si 0.956 0.421 0.725 (multiplicity 1)
44 Si 0.975 0.026 0.358 (multiplicity 1)
45 Si 0.977 0.160 0.783 (multiplicity 1)
46 N 0.023 0.839 0.005 (multiplicity 1)
47 N 0.030 0.395 0.436 (multiplicity 1)
48 N 0.040 0.903 0.451 (multiplicity 1)
49 N 0.074 0.646 0.539 (multiplicity 1)
50 N 0.116 0.015 0.257 (multiplicity 1)
51 N 0.116 0.743 0.293 (multiplicity 1)
52 N 0.120 0.491 0.192 (multiplicity 1)
53 N 0.127 0.444 0.675 (multiplicity 1)
54 N 0.128 0.271 0.064 (multiplicity 1)
55 N 0.144 0.675 0.798 (multiplicity 1)
56 N 0.145 0.209 0.798 (multiplicity 1)
57 N 0.154 0.443 0.919 (multiplicity 1)
58 N 0.176 0.045 0.020 (multiplicity 1)
59 N 0.189 0.189 0.539 (multiplicity 1)
60 N 0.194 0.891 0.626 (multiplicity 1)
61 N 0.208 0.240 0.278 (multiplicity 1)
62 N 0.241 0.679 0.043 (multiplicity 1)
63 N 0.264 0.418 0.415 (multiplicity 1)
64 N 0.292 0.851 0.892 (multiplicity 1)
65 N 0.333 0.040 0.760 (multiplicity 1)
66 N 0.350 0.621 0.251 (multiplicity 1)
67 N 0.361 0.876 0.362 (multiplicity 1)
68 N 0.386 0.510 0.757 (multiplicity 1)
69 N 0.393 0.283 0.900 (multiplicity 1)
70 N 0.393 0.601 0.498 (multiplicity 1)
71 N 0.412 0.255 0.644 (multiplicity 1)
72 N 0.435 0.837 0.121 (multiplicity 1)
73 N 0.437 0.787 0.681 (multiplicity 1)
74 N 0.443 0.171 0.392 (multiplicity 1)
75 N 0.459 0.174 0.148 (multiplicity 1)
76 N 0.468 0.036 0.971 (multiplicity 1)
77 N 0.512 0.678 0.912 (multiplicity 1)
78 N 0.513 0.413 0.307 (multiplicity 1)
79 N 0.522 0.008 0.534 (multiplicity 1)
80 N 0.587 0.974 0.245 (multiplicity 1)
81 N 0.590 0.678 0.307 (multiplicity 1)
82 N 0.615 0.781 0.516 (multiplicity 1)
83 N 0.633 0.354 0.740 (multiplicity 1)
84 N 0.661 0.632 0.705 (multiplicity 1)
85 N 0.667 0.244 0.987 (multiplicity 1)
86 N 0.673 0.230 0.505 (multiplicity 1)
87 N 0.682 0.496 0.489 (multiplicity 1)
88 N 0.687 0.951 0.733 (multiplicity 1)
89 N 0.702 0.228 0.249 (multiplicity 1)
90 N 0.725 0.499 0.937 (multiplicity 1)
91 N 0.768 0.537 0.225 (multiplicity 1)
92 N 0.797 0.770 0.902 (multiplicity 1)
93 N 0.807 0.002 0.350 (multiplicity 1)
94 N 0.808 0.805 0.167 (multiplicity 1)
95 N 0.842 0.696 0.417 (multiplicity 1)
96 N 0.863 0.063 0.105 (multiplicity 1)
97 N 0.883 0.348 0.608 (multiplicity 1)
98 N 0.889 0.352 0.086 (multiplicity 1)
99 N 0.896 0.304 0.831 (multiplicity 1)
100 N 0.905 0.577 0.749 (multiplicity 1)
101 N 0.929 0.025 0.863 (multiplicity 1)
102 N 0.939 0.179 0.400 (multiplicity 1)
103 N 0.939 0.835 0.685 (multiplicity 1)
104 N 0.943 0.589 0.041 (multiplicity 1)
105 N 0.975 0.105 0.634 (multiplicity 1)